# 1
A plane-wave DFT calculation with GGA-PBE was carried out for Np2SO10 after structural relaxation.

Properties
Energy with MP2020 corrections (eV for the cell shown): -450.36
Energy of formation from the pure elements (eV per atom): -2.54
Offset from the most stable computed form (eV per formula unit): 0.00

The structure in POSCAR format:
```
Np2SO10
1.0
10.694 0.000 0.000
0.000 5.987 0.000
-1.363 0.000 12.565
O Np S
40 8 4
direct
0.473 0.451 0.709 O
0.109 0.695 0.412 O
0.508 0.693 0.088 O
0.891 0.305 0.588 O
0.891 0.195 0.088 O
0.217 0.110 0.833 O
0.527 0.951 0.791 O
0.309 0.562 0.496 O
0.811 0.952 0.828 O
0.286 0.544 0.143 O
0.894 0.662 0.974 O
0.984 0.070 0.298 O
0.783 0.890 0.167 O
0.811 0.548 0.328 O
0.698 0.270 0.168 O
0.016 0.930 0.702 O
0.106 0.338 0.026 O
0.691 0.438 0.504 O
0.309 0.938 0.996 O
0.698 0.230 0.668 O
0.508 0.807 0.588 O
0.783 0.610 0.667 O
0.691 0.062 0.004 O
0.286 0.956 0.643 O
0.473 0.049 0.209 O
0.492 0.193 0.412 O
0.894 0.838 0.474 O
0.984 0.430 0.798 O
0.492 0.307 0.912 O
0.217 0.390 0.333 O
0.302 0.770 0.332 O
0.106 0.162 0.526 O
0.109 0.805 0.912 O
0.527 0.549 0.291 O
0.189 0.452 0.672 O
0.714 0.044 0.357 O
0.016 0.570 0.202 O
0.189 0.048 0.172 O
0.714 0.456 0.857 O
0.302 0.730 0.832 O
0.387 0.711 0.670 Np
0.387 0.789 0.170 Np
0.613 0.211 0.830 Np
0.613 0.289 0.330 Np
0.901 0.689 0.830 Np
0.099 0.189 0.670 Np
0.099 0.311 0.170 Np
0.901 0.811 0.330 Np
0.233 0.606 0.395 S
0.233 0.894 0.895 S
0.767 0.106 0.105 S
0.767 0.394 0.605 S
```



# 2
A plane-wave DFT calculation with GGA-PBE was carried out for Np2SO10 after structural relaxation.

Properties
Energy with MP2020 corrections (eV for the cell shown): -417.19
Energy of formation from the pure elements (eV per atom): -1.91
Offset from the most stable computed form (eV per formula unit): 8.29

The structure in POSCAR format:
```
Np2SO10
1.0
-2.768 4.810 -0.078
-11.670 -6.667 2.956
2.122 1.444 13.660
O Np S
40 8 4
direct
0.505 0.461 0.698 O
0.578 0.326 0.811 O
0.591 0.665 0.931 O
0.784 0.934 0.836 O
0.591 0.835 0.069 O
0.505 0.039 0.302 O
0.216 0.434 0.836 O
0.351 0.504 0.892 O
0.951 0.147 0.782 O
0.049 0.853 0.218 O
0.212 0.173 0.292 O
0.951 0.353 0.218 O
0.495 0.539 0.302 O
0.657 0.854 0.472 O
0.351 0.996 0.108 O
0.784 0.566 0.164 O
0.542 0.655 0.721 O
0.891 0.319 0.416 O
0.542 0.845 0.279 O
0.422 0.826 0.811 O
0.578 0.174 0.189 O
0.788 0.827 0.708 O
0.109 0.681 0.584 O
0.212 0.327 0.708 O
0.649 0.004 0.892 O
0.409 0.165 0.931 O
0.109 0.819 0.416 O
0.409 0.335 0.069 O
0.657 0.646 0.528 O
0.458 0.155 0.721 O
0.458 0.345 0.279 O
0.343 0.146 0.528 O
0.049 0.647 0.782 O
0.495 0.961 0.698 O
0.649 0.496 0.108 O
0.891 0.181 0.584 O
0.422 0.674 0.189 O
0.343 0.354 0.472 O
0.788 0.673 0.292 O
0.216 0.066 0.164 O
0.668 0.342 0.145 Np
0.179 0.166 0.641 Np
0.668 0.158 0.855 Np
0.332 0.842 0.145 Np
0.179 0.334 0.359 Np
0.332 0.658 0.855 Np
0.821 0.666 0.641 Np
0.821 0.834 0.359 Np
0.398 0.115 0.244 S
0.602 0.615 0.244 S
0.602 0.885 0.756 S
0.398 0.385 0.756 S
```



# 3
A plane-wave DFT calculation with GGA-PBE was carried out for NpSO after structural relaxation.

Properties
Energy with MP2020 corrections (eV for the cell shown): -59.98
Energy of formation from the pure elements (eV per atom): -2.65

The structure in POSCAR format:
```
NpSO
1.0
3.795 0.000 0.000
0.000 3.795 0.000
0.000 0.000 6.697
Np S O
2 2 2
direct
0.000 0.500 0.197 Np
0.500 0.000 0.803 Np
0.500 0.000 0.368 S
0.000 0.500 0.632 S
0.500 0.500 0.000 O
0.000 0.000 0.000 O
```



# 4
A plane-wave DFT calculation with GGA-PBE was carried out for Np2SO2 after structural relaxation.

Properties
Energy with MP2020 corrections (eV for the cell shown): -54.00
Energy of formation from the pure elements (eV per atom): -2.82

The structure in POSCAR format:
```
Np2SO2
1.0
1.872 -3.243 0.000
1.872 3.243 0.000
0.000 0.000 6.363
S Np O
1 2 2
direct
0.000 0.000 0.000 S
0.333 0.667 0.270 Np
0.667 0.333 0.730 Np
0.333 0.667 0.631 O
0.667 0.333 0.369 O
```



# 5
A plane-wave DFT calculation with GGA-PBE was carried out for Np2Se2O after structural relaxation.

Properties
Energy with MP2020 corrections (eV for the cell shown): -40.15
Energy of formation from the pure elements (eV per atom): -0.46

The structure in POSCAR format:
```
Np2Se2O
1.0
-2.767 -1.008 1.114
1.381 -0.789 2.717
-2.466 11.995 4.736
Np Se O
2 2 1
direct
0.500 0.500 0.157 Np
0.500 0.500 0.843 Np
0.500 0.500 0.363 Se
0.500 0.500 0.637 Se
0.500 0.500 0.000 O
```



# 6
A plane-wave DFT calculation with GGA-PBE was carried out for Np2SeO9 after structural relaxation.

Properties
Energy with MP2020 corrections (eV for the cell shown): -412.31
Energy of formation from the pure elements (eV per atom): -2.43

The structure in POSCAR format:
```
Np2SeO9
1.0
-3.927 5.432 1.785
-1.822 -3.271 5.946
12.619 6.613 7.643
O Np Se
36 8 4
direct
0.950 0.523 0.657 O
0.588 0.265 0.003 O
0.036 0.008 0.359 O
0.380 0.748 0.372 O
0.620 0.252 0.628 O
0.536 0.992 0.141 O
0.817 0.956 0.938 O
0.739 0.596 0.411 O
0.317 0.044 0.562 O
0.499 0.697 0.536 O
0.550 0.523 0.157 O
0.001 0.697 0.036 O
0.662 0.771 0.767 O
0.804 0.247 0.796 O
0.412 0.735 0.997 O
0.239 0.404 0.089 O
0.696 0.247 0.296 O
0.338 0.229 0.233 O
0.120 0.748 0.872 O
0.050 0.477 0.343 O
0.304 0.753 0.704 O
0.761 0.596 0.911 O
0.183 0.044 0.062 O
0.088 0.735 0.497 O
0.464 0.008 0.859 O
0.838 0.771 0.267 O
0.261 0.404 0.589 O
0.964 0.992 0.641 O
0.196 0.753 0.204 O
0.450 0.477 0.843 O
0.683 0.956 0.438 O
0.162 0.229 0.733 O
0.880 0.252 0.128 O
0.999 0.303 0.964 O
0.501 0.303 0.464 O
0.912 0.265 0.503 O
0.694 0.254 0.899 Np
0.965 0.256 0.657 Np
0.194 0.746 0.601 Np
0.465 0.744 0.843 Np
0.806 0.254 0.399 Np
0.035 0.744 0.343 Np
0.535 0.256 0.157 Np
0.306 0.746 0.101 Np
0.437 0.250 0.561 Se
0.937 0.750 0.939 Se
0.063 0.250 0.061 Se
0.563 0.750 0.439 Se
```



# 7
A plane-wave DFT calculation with GGA-PBE was carried out for Np3SeO13 after structural relaxation.

Properties
Energy with MP2020 corrections (eV for the cell shown): -586.02
Energy of formation from the pure elements (eV per atom): -2.34

The structure in POSCAR format:
```
Np3SeO13
1.0
2.301 -2.858 -5.558
-11.662 0.739 -0.889
1.429 14.375 -6.802
O Np Se
52 12 4
direct
0.260 0.390 0.797 O
0.274 0.142 0.722 O
0.360 0.946 0.357 O
0.413 0.454 0.601 O
0.928 0.327 0.066 O
0.116 0.233 0.211 O
0.640 0.054 0.643 O
0.275 0.803 0.132 O
0.275 0.966 0.536 O
0.879 0.774 0.080 O
0.260 0.890 0.703 O
0.726 0.358 0.222 O
0.725 0.197 0.868 O
0.074 0.062 0.355 O
0.275 0.303 0.368 O
0.855 0.039 0.786 O
0.551 0.224 0.564 O
0.926 0.938 0.645 O
0.884 0.767 0.789 O
0.884 0.267 0.711 O
0.449 0.276 0.064 O
0.413 0.954 0.899 O
0.725 0.034 0.464 O
0.274 0.642 0.778 O
0.855 0.539 0.714 O
0.050 0.114 0.065 O
0.950 0.386 0.565 O
0.928 0.827 0.434 O
0.360 0.446 0.143 O
0.145 0.961 0.214 O
0.074 0.562 0.145 O
0.879 0.274 0.420 O
0.926 0.438 0.855 O
0.121 0.226 0.920 O
0.740 0.110 0.297 O
0.725 0.534 0.036 O
0.740 0.610 0.203 O
0.587 0.546 0.399 O
0.275 0.466 0.964 O
0.640 0.554 0.857 O
0.145 0.461 0.286 O
0.725 0.697 0.632 O
0.950 0.886 0.935 O
0.449 0.776 0.436 O
0.121 0.726 0.580 O
0.551 0.724 0.936 O
0.072 0.673 0.934 O
0.116 0.733 0.289 O
0.587 0.046 0.101 O
0.072 0.173 0.566 O
0.726 0.858 0.278 O
0.050 0.614 0.435 O
0.831 0.722 0.936 Np
0.722 0.948 0.369 Np
0.989 0.249 0.819 Np
0.278 0.552 0.869 Np
0.011 0.751 0.181 Np
0.278 0.052 0.631 Np
0.011 0.251 0.319 Np
0.169 0.778 0.436 Np
0.831 0.222 0.564 Np
0.989 0.749 0.681 Np
0.722 0.448 0.131 Np
0.169 0.278 0.064 Np
0.718 0.452 0.790 Se
0.718 0.952 0.710 Se
0.282 0.048 0.290 Se
0.282 0.548 0.210 Se
```



# 8
A plane-wave DFT calculation with GGA-PBE was carried out for NpSeO5 after structural relaxation.

Properties
Energy with MP2020 corrections (eV for the cell shown): -115.63
Energy of formation from the pure elements (eV per atom): -2.38

The structure in POSCAR format:
```
NpSeO5
1.0
4.265 0.000 0.000
0.000 9.490 0.000
-0.140 0.000 5.875
Np O Se
2 10 2
direct
0.500 0.500 0.000 Np
0.500 0.000 0.000 Np
0.471 0.250 0.199 O
0.009 0.604 0.876 O
0.009 0.896 0.876 O
0.496 0.091 0.733 O
0.496 0.409 0.733 O
0.991 0.104 0.124 O
0.991 0.396 0.124 O
0.504 0.909 0.267 O
0.504 0.591 0.267 O
0.529 0.750 0.801 O
0.913 0.750 0.710 Se
0.087 0.250 0.290 Se
```



Electronic total energy (eV per atom)
-8.13, -7.90, -9.60, -10.43, -7.89, -8.07, -8.09, -7.77
Calculated volume (Å³/f.u.)
201.1, 265.2, 48.2, 77.3, 130.2, 197.0, 296.4, 118.9